# 1
A relaxed structure of Al2O3, computed with GGA-PBE.

Unit cell a=10.5543 b=10.1568 c=10.4652 alpha=94.02 beta=95.11 gamma=89.80
With the nearest neighbours (Å) after each atom.
Sites, in units of the cell vectors:
O  0.2432  0.3210  0.4062  3 Al 1.84-1.96
O  0.3631  0.5445  0.5408  3 Al 1.75-1.93
O  0.0868  0.0590  0.4210  4 Al 1.89-1.97
O  0.6456  0.6800  0.2924  3 Al 1.81-1.82
O  0.4260  0.7904  0.6325  3 Al 1.81-1.87
O  0.2654  0.8996  0.4690  3 Al 1.85-1.99
O  0.0029  0.5178  0.9474  3 Al 1.80-1.88
O  0.2530  0.4432  0.1939  3 Al 1.77-1.91
O  0.3612  0.0914  0.3745  3 Al 1.80-1.86
O  0.8993  0.1678  0.3062  2 Al 1.79-1.84
O  0.2885  0.5302  0.9530  3 Al 1.76-1.81
O  0.6858  0.2085  0.6709  3 Al 1.86-1.96
O  0.1266  0.6556  0.1393  3 Al 1.77-1.80
O  0.1600  0.1333  0.2130  2 Al 1.75-1.85
O  0.0168  0.7239  0.8157  3 Al 1.78-1.85
O  0.1404  0.3271  0.9882  3 Al 1.80-1.91
O  0.4376  0.2190  0.1528  2 Al 1.74-1.76
O  0.1074  0.9800  0.9220  2 Al 1.71-1.75
O  0.0213  0.3327  0.2165  4 Al 1.90-1.99
O  0.5921  0.2204  0.9311  3 Al 1.84-1.87
O  0.7672  0.9184  0.2704  3 Al 1.74-1.89
O  0.9940  0.8514  0.2946  2 Al 1.74-1.85
O  0.6966  0.9021  0.0001  3 Al 1.75-1.86
O  0.4619  0.0954  0.6123  3 Al 1.80-2.01
O  0.9035  0.5170  0.6815  2 Al 1.77-1.84
O  0.3578  0.2476  0.8487  2 Al 1.73-1.74
O  0.7437  0.4404  0.3999  3 Al 1.84-1.87
O  0.6117  0.1783  0.3872  3 Al 1.80-1.96
O  0.7770  0.3290  0.1490  2 Al 1.80-1.83
O  0.9148  0.0186  0.0949  3 Al 1.73-1.86
O  0.5749  0.4985  0.0497  3 Al 1.80-1.94
O  0.0005  0.3429  0.4702  3 Al 1.78-1.99
O  0.5267  0.9480  0.1862  3 Al 1.79-1.85
O  0.6593  0.4897  0.6392  2 Al 1.80-1.82
O  0.4936  0.7607  0.9167  3 Al 1.79-1.94
O  0.4801  0.3305  0.5417  3 Al 1.79-1.85
O  0.8290  0.0285  0.5039  3 Al 1.79-1.84
O  0.5391  0.9762  0.8288  4 Al 1.88-2.07
O  0.7844  0.4023  0.8803  2 Al 1.79-1.80
O  0.7588  0.7115  0.8129  3 Al 1.77-1.89
O  0.4454  0.4959  0.7984  3 Al 1.74-1.93
O  0.6868  0.9362  0.6546  3 Al 1.84-1.95
O  0.4180  0.6668  0.1422  2 Al 1.77-1.78
O  0.8008  0.7190  0.5345  2 Al 1.75-1.76
O  0.9114  0.5728  0.3031  3 Al 1.78-1.94
O  0.8816  0.7240  0.0727  3 Al 1.78-1.84
O  0.2517  0.8860  0.1803  3 Al 1.79-1.82
O  0.8582  0.9592  0.8178  3 Al 1.72-1.86
O  0.1584  0.6976  0.6338  2 Al 1.77-1.78
O  0.3838  0.0128  0.9886  3 Al 1.78-1.85
O  0.4901  0.4582  0.3268  3 Al 1.77-1.90
O  0.5594  0.9284  0.4377  2 Al 1.74-1.78
O  0.2030  0.1885  0.6051  3 Al 1.84-1.91
O  0.9224  0.2070  0.9728  3 Al 1.74-1.80
O  0.1595  0.4377  0.7201  3 Al 1.81-1.83
O  0.2598  0.9528  0.7187  3 Al 1.80-1.89
O  0.0284  0.9325  0.6449  3 Al 1.78-1.88
O  0.2760  0.6564  0.3637  3 Al 1.75-1.90
O  0.2612  0.7955  0.8897  3 Al 1.79-1.89
O  0.9524  0.2796  0.7327  3 Al 1.81-1.91
Al  0.9871  0.6940  0.2168  4 O 1.74-1.84
Al  0.4458  0.6017  0.9588  4 O 1.79-1.94
Al  0.3183  0.4743  0.3668  5 O 1.84-1.93
Al  0.8226  0.8835  0.1181  4 O 1.73-1.78
Al  0.0806  0.2294  0.3585  6 O 1.84-2.03
Al  0.6203  0.8569  0.3005  4 O 1.74-1.81
Al  0.1601  0.5063  0.0459  5 O 1.76-1.91
Al  0.7873  0.3571  0.7118  3 O 1.79-1.91
Al  0.4858  0.1077  0.2692  4 O 1.76-1.85
Al  0.4874  0.4822  0.6406  4 O 1.74-1.82
Al  0.7790  0.6179  0.3911  4 O 1.76-1.85
Al  0.9042  0.6597  0.9127  4 O 1.78-1.87
Al  0.1634  0.0082  0.5826  5 O 1.80-1.96
Al  0.4306  0.9324  0.5373  4 O 1.78-1.85
Al  0.9128  0.9994  0.3609  5 O 1.81-1.97
Al  0.3894  0.8583  0.7946  5 O 1.82-1.98
Al  0.2882  0.7048  0.5368  4 O 1.78-1.87
Al  0.5356  0.5593  0.2072  4 O 1.77-1.82
Al  0.5589  0.1421  0.7643  4 O 1.85-1.88
Al  0.9738  0.3458  0.9028  4 O 1.74-1.91
Al  0.0646  0.5879  0.7100  4 O 1.77-1.84
Al  0.9576  0.0403  0.9375  4 O 1.71-1.77
Al  0.8958  0.1974  0.1393  5 O 1.79-1.99
Al  0.6995  0.8875  0.8224  5 O 1.84-1.92
Al  0.2758  0.7159  0.2108  4 O 1.75-1.79
Al  0.2135  0.9981  0.3147  5 O 1.82-1.99
Al  0.8592  0.9324  0.6400  4 O 1.78-1.86
Al  0.7711  0.6241  0.6622  4 O 1.75-1.80
Al  0.1289  0.8501  0.7739  5 O 1.85-1.99
Al  0.6629  0.0702  0.5306  5 O 1.84-1.96
Al  0.5955  0.3539  0.4216  4 O 1.80-1.85
Al  0.3467  0.2161  0.5117  5 O 1.82-2.01
Al  0.6840  0.3644  0.0030  4 O 1.80-1.85
Al  0.1803  0.2876  0.1522  4 O 1.75-1.90
Al  0.5312  0.9150  0.0123  4 O 1.77-1.85
Al  0.4328  0.1860  0.9872  4 O 1.74-1.87
Al  0.2998  0.4053  0.8275  4 O 1.73-1.85
Al  0.2426  0.9251  0.0123  4 O 1.75-1.82
Al  0.0725  0.3067  0.6244  4 O 1.78-1.84
Al  0.8863  0.3855  0.3173  5 O 1.87-2.06

Summary:
ΔH_f (0 K) (eV per formula unit): -16.163



# 2
A relaxed structure of RbYB4H16, computed with GGA-PBE.

Unit cell a=12.6619 b=8.4426 c=13.6611 alpha=52.29 beta=90.00 gamma=90.00
With the nearest neighbours (Å) after each atom.
Sites, in units of the cell vectors:
H  0.6138  0.6432  0.0213  1 B 1.24
H  0.0057  0.1892  0.6096  1 B 1.24
H  0.5057  0.8108  0.8904  1 B 1.24
H  0.7405  0.6138  0.8857  1 B 1.24
H  0.6517  0.2606  0.7282  1 B 1.24
H  0.3699  0.2522  0.2453  1 B 1.24
H  0.1517  0.7394  0.7718  1 B 1.24
H  0.2232  0.1444  0.2862  1 B 1.24
H  0.9532  0.1230  0.1940  1 B 1.24
H  0.7543  0.5929  0.2458  1 B 1.20
H  0.8598  0.9814  0.8233  1 B 1.24
H  0.0309  0.6849  0.5670  1 B 1.20
H  0.3598  0.0186  0.6767  1 B 1.24
H  0.6402  0.9814  0.3233  1 B 1.24
H  0.9691  0.3151  0.4330  1 B 1.20
H  0.6301  0.7478  0.7547  1 B 1.24
H  0.4111  0.5909  0.4422  1 B 1.21
H  0.0752  0.0884  0.5262  1 B 1.24
H  0.9943  0.8108  0.3904  1 B 1.24
H  0.2768  0.1444  0.7862  1 B 1.24
H  0.2457  0.4071  0.7542  1 B 1.20
H  0.2704  0.9104  0.6090  1 B 1.24
H  0.4171  0.0129  0.5408  1 B 1.21
H  0.7768  0.8556  0.7138  1 B 1.24
H  0.3862  0.3568  0.9787  1 B 1.24
H  0.5468  0.1230  0.6940  1 B 1.24
H  0.7704  0.0896  0.8910  1 B 1.24
H  0.0829  0.0129  0.0408  1 B 1.21
H  0.7232  0.8556  0.2138  1 B 1.24
H  0.1402  0.0186  0.1767  1 B 1.24
H  0.3078  0.8165  0.3783  1 B 1.24
H  0.3483  0.7394  0.2718  1 B 1.24
H  0.0468  0.8770  0.8060  1 B 1.24
H  0.5309  0.3151  0.9330  1 B 1.20
H  0.7595  0.6138  0.3857  1 B 1.24
H  0.4943  0.1892  0.1096  1 B 1.24
H  0.7999  0.7976  0.9942  1 B 1.24
H  0.0889  0.5909  0.9422  1 B 1.21
H  0.8483  0.2606  0.2282  1 B 1.24
H  0.2001  0.2024  0.0058  1 B 1.24
H  0.7001  0.7976  0.4942  1 B 1.24
H  0.1138  0.3568  0.4787  1 B 1.24
H  0.9248  0.9116  0.4738  1 B 1.24
H  0.6922  0.1835  0.6217  1 B 1.24
H  0.4532  0.8770  0.3060  1 B 1.24
H  0.5752  0.9116  0.9738  1 B 1.24
H  0.2999  0.2024  0.5058  1 B 1.24
H  0.4691  0.6849  0.0670  1 B 1.20
H  0.1301  0.2522  0.7453  1 B 1.24
H  0.2543  0.4071  0.2542  1 B 1.20
H  0.9111  0.4091  0.0578  1 B 1.21
H  0.8699  0.7478  0.2547  1 B 1.24
H  0.2405  0.3862  0.6143  1 B 1.24
H  0.7457  0.5929  0.7458  1 B 1.20
H  0.8078  0.1835  0.1217  1 B 1.24
H  0.1922  0.8165  0.8783  1 B 1.24
H  0.4248  0.0884  0.0262  1 B 1.24
H  0.5889  0.4091  0.5578  1 B 1.21
H  0.5829  0.9871  0.4592  1 B 1.21
H  0.2296  0.9104  0.1090  1 B 1.24
H  0.7296  0.0896  0.3910  1 B 1.24
H  0.9171  0.9871  0.9592  1 B 1.21
H  0.8862  0.6432  0.5213  1 B 1.24
H  0.2595  0.3862  0.1143  1 B 1.24
Rb  0.9599  0.4192  0.8314  7 H 2.96-3.22
Rb  0.5401  0.4192  0.3314  7 H 2.96-3.22
Rb  0.4599  0.5808  0.6686  7 H 2.96-3.22
Rb  0.0401  0.5808  0.1686  7 H 2.96-3.22
B  0.2754  0.3013  0.2257  4 H 1.20-1.24
B  0.1188  0.7515  0.8523  4 H 1.21-1.24
B  0.2246  0.3013  0.7257  4 H 1.20-1.24
B  0.1607  0.0350  0.0822  4 H 1.21-1.24
B  0.4615  0.2407  0.0084  4 H 1.20-1.24
B  0.8812  0.2485  0.1477  4 H 1.21-1.24
B  0.7754  0.6987  0.2743  4 H 1.20-1.24
B  0.3812  0.7515  0.3523  4 H 1.21-1.24
B  0.7246  0.6987  0.7743  4 H 1.20-1.24
B  0.8393  0.9650  0.9178  4 H 1.21-1.24
B  0.6188  0.2485  0.6477  4 H 1.21-1.24
B  0.6607  0.9650  0.4178  4 H 1.21-1.24
B  0.0385  0.2407  0.5084  4 H 1.20-1.24
B  0.5385  0.7593  0.9916  4 H 1.20-1.24
B  0.9615  0.7593  0.4916  4 H 1.20-1.24
B  0.3393  0.0350  0.5822  4 H 1.21-1.24
Y  0.1794  0.0836  0.6663  12 H 2.30-2.35, 4 B 2.47-2.49
Y  0.8206  0.9164  0.3337  12 H 2.30-2.35, 4 B 2.47-2.49
Y  0.3206  0.0836  0.1663  12 H 2.30-2.35, 4 B 2.47-2.49
Y  0.6794  0.9164  0.8337  12 H 2.30-2.35, 4 B 2.47-2.49

Summary:
ΔH_f (0 K) (eV per formula unit): -9.825



# 3
A relaxed structure of NbVNi, computed with GGA-PBE.

Unit cell a=4.9000 b=4.9000 c=8.0923 alpha=90.00 beta=90.00 gamma=120.02
With the nearest neighbours (Å) after each atom.
Sites, in units of the cell vectors:
V  0.1687  0.3384  0.5000  4 V 2.38-2.52, 2 Ni 2.51
V  0.6616  0.8313  0.5000  4 V 2.38-2.52, 2 Ni 2.51
V  0.8421  0.1579  0.0000  6 Ni 2.40-2.47
V  0.1731  0.8269  0.5000  4 V 2.38-2.52, 2 Ni 2.53
Ni  0.0006  0.9994  0.2451  4 V 2.40-2.53, 2 Ni 2.47
Ni  0.8375  0.6518  0.0000  4 Ni 2.40-2.50, 2 V 2.43-2.47
Ni  0.0006  0.9994  0.7549  4 V 2.40-2.53, 2 Ni 2.47
Ni  0.3482  0.1625  0.0000  4 Ni 2.40-2.50, 2 V 2.43-2.47
Nb  0.3241  0.6759  0.1835  7 Ni 2.76-2.97, 5 V 2.86-2.93, 4 Nb 2.97-3.01
Nb  0.6596  0.3404  0.6954  5 Ni 2.80-2.93, 7 V 2.87-2.96, 3 Nb 2.99-3.01
Nb  0.3241  0.6759  0.8165  7 Ni 2.76-2.97, 5 V 2.86-2.93, 4 Nb 2.97-3.01
Nb  0.6596  0.3404  0.3046  5 Ni 2.80-2.93, 7 V 2.87-2.96, 3 Nb 2.99-3.01

Summary:
ΔH_f (0 K) (eV per formula unit): -0.519